RbCeTe2 | GGA-PBE | relaxed

Cell and atoms, written as POSCAR:
```
RbCeTe2
1.0
-1.9754 -4.1207 1.1104
0.8751 -3.8081 -2.6169
6.3250 -4.5141 4.4585
Te Rb Ce
2 1 1
Direct
0.2654 0.2654 0.2039
0.7346 0.7346 0.7961
0.5000 0.5000 0.5000
0.0000 0.0000 0.0000
```

Output
space-group type	No. 166

***

CeRe4Si2 | GGA-PBE | relaxed

Cell and atoms, written as POSCAR:
```
CeRe4Si2
1.0
2.0760 -7.0003 0.0000
2.0760 7.0003 0.0000
0.0000 0.0000 4.0847
Re Si Ce
4 2 1
Direct
0.3053 0.6947 0.0000
0.8140 0.1860 0.5000
0.6947 0.3053 0.0000
0.1860 0.8140 0.5000
0.5871 0.4129 0.5000
0.4129 0.5871 0.5000
0.0000 0.0000 0.0000
```

Output
space-group type	No. 65

***

Number 1: E_form -1571 meV per atom. Number 2: E_form -447 meV per atom.